Compound: CaZn13
Source: the Materials Project database
Functional: r2SCAN
Structure: relaxed

Structure (POSCAR):
```
CaZn13
1.0
7.3743 0.0000 4.2576
2.4581 6.9526 4.2576
0.0000 0.0000 8.5152
Zn Ca
26 2
direct
0.0000 0.0000 0.0000
0.7998 0.2002 0.5597
0.5597 0.4403 0.7998
0.2002 0.4403 0.5597
0.2998 0.9403 0.0597
0.7002 0.0597 0.9403
0.5000 0.5000 0.5000
0.2002 0.7998 0.4403
0.2998 0.0597 0.7002
0.4403 0.5597 0.2002
0.5597 0.2002 0.4403
0.0597 0.2998 0.9403
0.7998 0.5597 0.4403
0.9403 0.0597 0.2998
0.7002 0.2998 0.0597
0.0597 0.7002 0.2998
0.9403 0.2998 0.7002
0.4403 0.7998 0.5597
0.7998 0.4403 0.2002
0.2998 0.7002 0.9403
0.5597 0.7998 0.2002
0.2002 0.5597 0.7998
0.0597 0.9403 0.7002
0.9403 0.7002 0.0597
0.4403 0.2002 0.7998
0.7002 0.9403 0.2998
0.7500 0.7500 0.7500
0.2500 0.2500 0.2500
```

Computed properties:
uncorrected energy: -8.96 eV per atom
spin magnetization: 0.0000 μB/atom
E_form: -0.1793 eV per atom
crystal system: cubic